K6Zn4Sn5S17 | PBE | relaxed

Summary:
**Corrected total energy (MP2020 scheme)**: -272.9 eV/cell
**Magnetization**: 0.00 μB per formula unit
**Energy**: -255.76 eV per cell
**Energy of formation from the pure elements**: -1.07 eV/atom

Unit cell a=9.8815 b=19.8182 c=11.0257 alpha=90.00 beta=116.26 gamma=90.00
Last column: nearest neighbours and their distance in Å.
Space group C2 (No. 5)
One atom of each set of equivalent atoms:
K: 0.0000 0.0000 0.0000 [2 per cell]  6 S 3.23-3.42
K: 0.0000 0.0751 0.5000 [2 per cell]  2 S 3.27
K: 0.0000 0.4823 0.0000 [2 per cell]  6 S 3.24-3.43
K: 0.0000 0.7419 0.0000 [2 per cell]  8 S 3.49-3.52
K: 0.2438 0.2438 0.4818 [4 per cell]  6 S 3.22-3.45
Zn: 0.0690 0.1730 0.8635 [4 per cell]  4 S 2.34-2.37
Zn: 0.2059 0.3107 0.1379 [4 per cell]  4 S 2.35-2.37
Sn: 0.0000 0.4905 0.5000 [2 per cell]  4 S 2.43-2.45
Sn: 0.1103 0.3531 0.7769 [4 per cell]  4 S 2.39-2.49
Sn: 0.1648 0.6306 0.7766 [4 per cell]  4 S 2.40-2.49
S: 0.0000 0.2416 0.0000 [2 per cell]  4 Zn 2.34-2.36
S: 0.0679 0.5634 0.3564 [4 per cell]  2 Sn 2.45-2.49
S: 0.0821 0.7450 0.7224 [4 per cell]  1 Zn 2.37, 1 Sn 2.40
S: 0.1314 0.1021 0.2790 [4 per cell]  1 Zn 2.37, 1 Sn 2.42
S: 0.1406 0.2373 0.7215 [4 per cell]  1 Zn 2.36, 1 Sn 2.43
S: 0.1462 0.3809 0.2793 [4 per cell]  1 Zn 2.35, 1 Sn 2.39
S: 0.2113 0.4198 0.6439 [4 per cell]  2 Sn 2.43-2.49
S: 0.2168 0.8798 0.9936 [4 per cell]  1 Zn 2.35, 1 Sn 2.40
S: 0.2247 0.6026 0.0069 [4 per cell]  1 Zn 2.36, 1 Sn 2.40

***

Na2CuBSO7 | PBE | relaxed

Summary:
**Corrected total energy (MP2020 scheme)**: -151.6 eV/cell
**Magnetization**: 0.00 μB per formula unit
**Energy**: -142.01 eV per cell
**Energy of formation from the pure elements**: -1.97 eV/atom

Unit cell a=5.0697 b=7.3399 c=8.7614 alpha=90.00 beta=91.37 gamma=90.00
Last column: nearest neighbours and their distance in Å.
Space group P2_1/m (No. 11)
One atom of each set of equivalent atoms:
Na: 0.2320 0.0019 0.2695 [4 per cell]  4 O 2.28-2.49
Cu: 0.2260 0.2500 0.8446 [2 per cell]  4 O 1.86-2.01
B: 0.2740 0.2500 0.5742 [2 per cell]  3 O 1.32-1.40
S: 0.2783 0.7500 0.9209 [2 per cell]  4 O 1.47-1.53
O: 0.0424 0.2500 0.6576 [2 per cell]  1 B 1.40
O: 0.1399 0.7500 0.0718 [2 per cell]  1 S 1.51
O: 0.2150 0.5840 0.8341 [4 per cell]  1 S 1.47
O: 0.2879 0.2500 0.4242 [2 per cell]  1 B 1.32
O: 0.4260 0.2500 0.0393 [2 per cell]  1 S 1.53
O: 0.4763 0.2500 0.6865 [2 per cell]  1 B 1.40

***

CsGaSe2O6 | PBE | relaxed

Summary:
**Corrected total energy (MP2020 scheme)**: -460.7 eV/cell
**Magnetization**: 0.00 μB per formula unit
**Energy**: -427.73 eV per cell
**Energy of formation from the pure elements**: -1.70 eV/atom

Unit cell a=14.3381 b=5.5959 c=18.6150 alpha=90.00 beta=107.78 gamma=90.00
Last column: nearest neighbours and their distance in Å.
Space group C2/m (No. 12)
One atom of each set of equivalent atoms:
Cs: 0.0000 0.0000 0.0000 [2 per cell]  12 O 3.41-3.78, 2 Se 3.79
Cs: 0.0000 0.5000 0.5000 [2 per cell]  4 O 3.24
Cs: 0.0506 0.0000 0.7071 [4 per cell]  10 O 3.10-3.43
Ga: 0.1562 0.5000 0.8717 [4 per cell]  6 O 1.98-2.07
Ga: 0.2015 0.5000 0.3653 [4 per cell]  6 O 1.99-2.06
Se: 0.0523 0.5000 0.1801 [4 per cell]  3 O 1.73-1.74
Se: 0.2066 0.0000 0.4536 [4 per cell]  3 O 1.75
Se: 0.2343 0.0000 0.9455 [4 per cell]  3 O 1.74
Se: 0.2426 0.0000 0.2664 [4 per cell]  3 O 1.73-1.74
O: 0.0355 0.2763 0.8472 [8 per cell]  1 Se 1.74
O: 0.0799 0.5000 0.2774 [4 per cell]  1 Se 1.73
O: 0.1336 0.2414 0.4108 [8 per cell]  1 Se 1.75
O: 0.1547 0.5000 0.7636 [4 per cell]  1 Se 1.73
O: 0.1549 0.5000 0.9825 [4 per cell]  1 Se 1.74
O: 0.1815 0.0000 0.5398 [4 per cell]  1 Se 1.75
O: 0.2257 0.2593 0.6721 [8 per cell]  1 Se 1.74
O: 0.2463 0.2618 0.1080 [8 per cell]  1 Se 1.74

***

HfCr2 | PBE | relaxed

Summary:
**Energy**: -118.06 eV per cell
**Energy of formation from the pure elements**: -0.08 eV/atom

Unit cell a=5.0388 b=5.0388 c=8.0951 alpha=90.00 beta=90.00 gamma=120.00
Last column: nearest neighbours and their distance in Å.
Space group P6_3/mmc (No. 194)
One atom of each set of equivalent atoms:
Hf: 0.3333 0.6667 0.0603 [4 per cell]  12 Cr 2.89-2.95, 4 Hf 3.07
Cr: 0.0000 0.0000 0.0000 [2 per cell]  6 Cr 2.50
Cr: 0.1688 0.3377 0.7500 [6 per cell]  6 Cr 2.49-2.55

***

Ag2S | PBE | relaxed

Summary:
**Corrected total energy (MP2020 scheme)**: -41.3 eV/cell
**Energy**: -39.28 eV per cell
**Energy of formation from the pure elements**: -0.17 eV/atom

Unit cell a=4.4316 b=7.0032 c=7.3039 alpha=90.00 beta=90.00 gamma=90.00
Last column: nearest neighbours and their distance in Å.
Space group P2_12_12_1 (No. 19)
One atom of each set of equivalent atoms:
Ag: 0.0041 0.2241 0.3548 [4 per cell]  3 S 2.58-2.73
Ag: 0.1382 0.6114 0.5434 [4 per cell]  4 S 2.64-2.82, 1 Ag 2.95
S: 0.1215 0.9982 0.6493 [4 per cell]  7 Ag 2.58-2.82

***

Sm2MgSe4 | PBE | relaxed

Summary:
**Corrected total energy (MP2020 scheme)**: -153.2 eV/cell
**Magnetization**: 0.00 μB per formula unit
**Energy**: -145.67 eV per cell
**Excess energy over the best structure of this formula in the dataset**: 42 meV per atom
**Energy of formation from the pure elements**: -1.90 eV/atom

Unit cell a=8.6892 b=8.6892 c=9.1038 alpha=90.00 beta=90.00 gamma=90.00
Last column: nearest neighbours and their distance in Å.
Space group I-42d (No. 122)
One atom of each set of equivalent atoms:
Sm: 0.1312 0.2500 0.1250 [8 per cell]  6 Se 2.88-3.14
Mg: 0.0000 0.0000 0.5000 [4 per cell]  4 Se 2.75
Se: 0.0676 0.1972 0.8094 [16 per cell]  1 Mg 2.75, 2 Sm 2.88-2.96

***

Dy3CuSiS7 | PBE | relaxed

Summary:
**Corrected total energy (MP2020 scheme)**: -148.1 eV/cell
**Magnetization**: 0.00 μB per formula unit
**Energy**: -141.09 eV per cell
**Energy of formation from the pure elements**: -1.81 eV/atom

Unit cell a=9.8871 b=9.8871 c=5.7032 alpha=90.00 beta=90.00 gamma=120.00
Last column: nearest neighbours and their distance in Å.
Space group P6_3 (No. 173)
One atom of each set of equivalent atoms:
Dy: 0.1308 0.3573 0.0000 [6 per cell]  7 S 2.76-3.01
Cu: 0.0000 0.0000 0.4560 [2 per cell]  3 S 2.24
Si: 0.3333 0.6667 0.5885 [2 per cell]  4 S 2.11-2.15
S: 0.0959 0.2585 0.4730 [6 per cell]  1 Cu 2.24
S: 0.1058 0.5822 0.7378 [6 per cell]  1 Si 2.15
S: 0.3333 0.6667 0.2178 [2 per cell]  1 Si 2.11

***

CaTcO3 | PBE | relaxed

Summary:
**Corrected total energy (MP2020 scheme)**: -158.3 eV/cell
**Energy**: -150.10 eV per cell
**Energy of formation from the pure elements**: -2.48 eV/atom

Unit cell a=5.6199 b=7.7772 c=5.4416 alpha=90.00 beta=90.00 gamma=90.00
Last column: nearest neighbours and their distance in Å.
Space group Pnma (No. 62)
One atom of each set of equivalent atoms:
Ca: 0.0519 0.2500 0.0117 [4 per cell]  4 O 2.33-2.41
Tc: 0.0000 0.0000 0.5000 [4 per cell]  6 O 2.01-2.03
O: 0.0307 0.7500 0.4083 [4 per cell]  2 Tc 2.01
O: 0.2038 0.5479 0.8005 [8 per cell]  2 Tc 2.02-2.03

***

What did the eighth record say?
CaTcO3 | PBE | relaxed

Summary:
**Corrected total energy (MP2020 scheme)**: -158.3 eV/cell
**Energy**: -150.10 eV per cell
**Energy of formation from the pure elements**: -2.48 eV/atom

Unit cell a=5.6199 b=7.7772 c=5.4416 alpha=90.00 beta=90.00 gamma=90.00
Last column: nearest neighbours and their distance in Å.
Space group Pnma (No. 62)
One atom of each set of equivalent atoms:
Ca: 0.0519 0.2500 0.0117 [4 per cell]  4 O 2.33-2.41
Tc: 0.0000 0.0000 0.5000 [4 per cell]  6 O 2.01-2.03
O: 0.0307 0.7500 0.4083 [4 per cell]  2 Tc 2.01
O: 0.2038 0.5479 0.8005 [8 per cell]  2 Tc 2.02-2.03

***

Copy entry 6 word for word.
Sm2MgSe4 | PBE | relaxed

Summary:
**Corrected total energy (MP2020 scheme)**: -153.2 eV/cell
**Magnetization**: 0.00 μB per formula unit
**Energy**: -145.67 eV per cell
**Excess energy over the best structure of this formula in the dataset**: 42 meV per atom
**Energy of formation from the pure elements**: -1.90 eV/atom

Unit cell a=8.6892 b=8.6892 c=9.1038 alpha=90.00 beta=90.00 gamma=90.00
Last column: nearest neighbours and their distance in Å.
Space group I-42d (No. 122)
One atom of each set of equivalent atoms:
Sm: 0.1312 0.2500 0.1250 [8 per cell]  6 Se 2.88-3.14
Mg: 0.0000 0.0000 0.5000 [4 per cell]  4 Se 2.75
Se: 0.0676 0.1972 0.8094 [16 per cell]  1 Mg 2.75, 2 Sm 2.88-2.96

***

> Which formula does entry 7 have?

Dy3CuSiS7